Below is Sr2CaV2Si4O14 after structural relaxation, with properties calculated at the PBE with a Hubbard U level.

```
Sr2CaV2Si4O14
1.0
7.584 0.000 0.000
0.000 2.759 7.246
0.000 -2.759 7.246
Sr Ca V Si O
2 1 2 4 14
Direct
0.000 0.000 0.000
0.500 0.363 0.363
0.500 0.649 0.649
0.000 0.295 0.295
0.500 0.069 0.069
0.200 0.575 0.575
0.261 0.802 0.802
0.739 0.802 0.802
0.800 0.575 0.575
0.000 0.171 0.171
0.000 0.534 0.534
0.195 0.096 0.597
0.195 0.597 0.096
0.213 0.690 0.690
0.309 0.304 0.780
0.309 0.780 0.304
0.500 0.193 0.193
0.500 0.808 0.808
0.691 0.304 0.780
0.691 0.780 0.304
0.787 0.690 0.690
0.805 0.096 0.597
0.805 0.597 0.096
```

Below is Sr2CaV2Si4O14 after structural relaxation, with properties calculated at the PBE with a Hubbard U level.

```
Sr2CaV2Si4O14
1.0
5.595 0.000 0.000
-0.048 7.771 0.000
-2.649 -2.151 7.336
Sr Ca V Si O
2 1 2 4 14
Direct
0.000 0.000 0.000
0.308 0.625 0.690
0.959 0.422 0.940
0.117 0.761 0.272
0.277 0.123 0.655
0.555 0.218 0.120
0.559 0.805 0.157
0.725 0.387 0.551
0.751 0.824 0.588
0.015 0.342 0.642
0.046 0.907 0.685
0.156 0.994 0.366
0.158 0.590 0.370
0.264 0.704 0.063
0.286 0.242 0.976
0.532 0.997 0.109
0.556 0.345 0.670
0.571 0.921 0.699
0.586 0.318 0.332
0.643 0.819 0.372
0.753 0.614 0.606
0.770 0.708 0.073
0.795 0.260 0.067
```

Below is Sr2CaV2Si4O14 after structural relaxation, with properties calculated at the PBE with a Hubbard U level.

```
Sr2CaV2Si4O14
1.0
5.659 0.000 0.000
0.000 7.280 0.000
-2.349 0.000 7.439
Sr Ca V Si O
2 1 2 4 14
Direct
0.000 0.000 0.000
0.342 0.500 0.776
0.407 0.500 0.353
0.262 0.000 0.562
0.973 0.500 0.082
0.546 0.218 0.129
0.546 0.782 0.129
0.775 0.269 0.568
0.775 0.731 0.568
0.030 0.500 0.321
0.048 0.191 0.666
0.048 0.809 0.666
0.139 0.000 0.321
0.272 0.316 0.072
0.272 0.684 0.072
0.505 0.000 0.072
0.530 0.214 0.625
0.530 0.786 0.625
0.673 0.246 0.345
0.673 0.754 0.345
0.716 0.300 0.012
0.716 0.700 0.012
0.790 0.500 0.609
```

Below is Sr2CaV2Si4O14 after structural relaxation, with properties calculated at the PBE with a Hubbard U level.

```
Sr2CaV2Si4O14
1.0
7.440 -2.763 0.000
7.440 2.763 0.000
-0.539 0.000 7.352
Sr Ca V Si O
2 1 2 4 14
Direct
0.201 0.201 0.276
0.799 0.799 0.724
0.927 0.073 0.000
0.112 0.112 0.716
0.888 0.888 0.284
0.359 0.421 0.975
0.392 0.394 0.533
0.579 0.641 0.025
0.606 0.608 0.467
0.016 0.007 0.287
0.067 0.637 0.049
0.106 0.577 0.440
0.351 0.378 0.750
0.363 0.933 0.951
0.423 0.894 0.560
0.461 0.539 0.000
0.502 0.498 0.500
0.586 0.136 0.061
0.587 0.100 0.451
0.622 0.649 0.250
0.864 0.414 0.939
0.900 0.413 0.549
0.993 0.984 0.713
```

Below is CaVSi4O11 after structural relaxation, with properties calculated at the PBE with a Hubbard U level.

```
CaVSi4O11
1.0
9.635 0.000 0.000
0.000 12.431 0.000
0.000 0.000 9.082
Ca V Si O
4 4 16 44
Direct
0.220 0.085 0.000
0.280 0.585 0.500
0.720 0.415 0.000
0.780 0.915 0.500
0.028 0.013 0.299
0.472 0.513 0.799
0.528 0.487 0.299
0.972 0.987 0.799
0.013 0.741 0.673
0.022 0.745 0.337
0.234 0.336 0.675
0.245 0.335 0.335
0.255 0.835 0.835
0.266 0.836 0.175
0.478 0.245 0.837
0.487 0.241 0.173
0.513 0.759 0.673
0.522 0.755 0.337
0.734 0.164 0.675
0.745 0.165 0.335
0.755 0.665 0.835
0.766 0.664 0.175
0.978 0.255 0.837
0.987 0.259 0.173
0.043 0.136 0.843
0.050 0.693 0.505
0.053 0.140 0.164
0.081 0.339 0.753
0.094 0.048 0.457
0.095 0.343 0.249
0.164 0.739 0.755
0.176 0.949 0.831
0.177 0.742 0.264
0.190 0.952 0.180
0.212 0.299 0.504
0.288 0.799 0.004
0.310 0.452 0.680
0.323 0.242 0.764
0.324 0.449 0.331
0.336 0.239 0.255
0.405 0.843 0.749
0.406 0.548 0.957
0.419 0.839 0.253
0.447 0.640 0.664
0.450 0.193 0.005
0.457 0.636 0.343
0.543 0.364 0.843
0.550 0.807 0.505
0.553 0.360 0.164
0.581 0.161 0.753
0.594 0.452 0.457
0.595 0.157 0.249
0.664 0.761 0.755
0.676 0.551 0.831
0.677 0.758 0.264
0.690 0.548 0.180
0.712 0.201 0.504
0.788 0.701 0.004
0.810 0.048 0.680
0.823 0.258 0.764
0.824 0.051 0.331
0.836 0.261 0.255
0.905 0.657 0.749
0.906 0.952 0.957
0.919 0.661 0.253
0.947 0.860 0.664
0.950 0.307 0.005
0.957 0.864 0.343
```

Below is CaVSi4O14 after structural relaxation, with properties calculated at the PBE with a Hubbard U level.

```
CaVSi4O14
1.0
6.783 -5.299 0.000
6.783 5.299 0.000
0.000 0.000 9.058
Ca V Si O
2 2 8 28
Direct
0.222 0.778 0.500
0.778 0.222 0.000
0.048 0.952 0.821
0.952 0.048 0.321
0.073 0.361 0.195
0.115 0.316 0.855
0.316 0.115 0.355
0.361 0.073 0.695
0.639 0.927 0.195
0.684 0.885 0.855
0.885 0.684 0.355
0.927 0.639 0.695
0.012 0.178 0.851
0.030 0.466 0.752
0.039 0.770 0.702
0.118 0.882 0.979
0.120 0.380 0.023
0.178 0.012 0.351
0.230 0.961 0.702
0.234 0.295 0.295
0.295 0.234 0.795
0.345 0.655 0.299
0.380 0.120 0.523
0.393 0.513 0.543
0.466 0.030 0.252
0.487 0.607 0.543
0.513 0.393 0.043
0.534 0.970 0.752
0.607 0.487 0.043
0.620 0.880 0.023
0.655 0.345 0.799
0.705 0.766 0.295
0.766 0.705 0.795
0.770 0.039 0.202
0.822 0.988 0.851
0.880 0.620 0.523
0.882 0.118 0.479
0.961 0.230 0.202
0.970 0.534 0.252
0.988 0.822 0.351
```

Below is CaVSi2O6 after structural relaxation, with properties calculated at the PBE with a Hubbard U level.

```
CaVSi2O6
1.0
5.026 -4.579 0.000
5.026 4.579 0.000
-1.387 0.000 5.125
Ca V Si O
2 2 4 12
Direct
0.202 0.798 0.750
0.798 0.202 0.250
0.410 0.590 0.250
0.590 0.410 0.750
0.118 0.303 0.764
0.303 0.118 0.264
0.697 0.882 0.736
0.882 0.697 0.236
0.110 0.620 0.326
0.132 0.169 0.003
0.169 0.132 0.503
0.286 0.470 0.847
0.380 0.890 0.174
0.470 0.286 0.347
0.530 0.714 0.653
0.620 0.110 0.826
0.714 0.530 0.153
0.831 0.868 0.497
0.868 0.831 0.997
0.890 0.380 0.674
```

Below is CaVSi2O6 after structural relaxation, with properties calculated at the PBE with a Hubbard U level.

```
CaVSi2O6
1.0
5.415 0.000 0.000
0.000 19.393 0.000
0.000 0.000 9.605
Ca V Si O
8 8 16 48
Direct
0.124 0.122 0.146
0.124 0.378 0.646
0.376 0.622 0.146
0.376 0.878 0.646
0.624 0.122 0.354
0.624 0.378 0.854
0.876 0.622 0.354
0.876 0.878 0.854
0.135 0.126 0.519
0.135 0.374 0.019
0.365 0.626 0.519
0.365 0.874 0.019
0.635 0.126 0.981
0.635 0.374 0.481
0.865 0.626 0.981
0.865 0.874 0.481
0.051 0.729 0.663
0.051 0.771 0.163
0.229 0.024 0.834
0.229 0.476 0.334
0.271 0.524 0.834
0.271 0.976 0.334
0.449 0.229 0.663
0.449 0.271 0.163
0.551 0.729 0.837
0.551 0.771 0.337
0.729 0.024 0.666
0.729 0.476 0.166
0.771 0.524 0.666
0.771 0.976 0.166
0.949 0.229 0.837
0.949 0.271 0.337
0.026 0.688 0.152
0.026 0.812 0.652
0.048 0.689 0.517
0.048 0.811 0.017
0.066 0.546 0.708
0.066 0.954 0.208
0.170 0.203 0.726
0.170 0.297 0.226
0.191 0.567 0.969
0.191 0.933 0.469
0.237 0.560 0.350
0.237 0.940 0.850
0.263 0.060 0.350
0.263 0.440 0.850
0.309 0.067 0.969
0.309 0.433 0.469
0.330 0.703 0.726
0.330 0.797 0.226
0.434 0.046 0.708
0.434 0.454 0.208
0.452 0.189 0.517
0.452 0.311 0.017
0.474 0.188 0.152
0.474 0.312 0.652
0.526 0.688 0.348
0.526 0.812 0.848
0.548 0.689 0.983
0.548 0.811 0.483
0.566 0.546 0.792
0.566 0.954 0.292
0.670 0.203 0.774
0.670 0.297 0.274
0.691 0.567 0.531
0.691 0.933 0.031
0.737 0.560 0.150
0.737 0.940 0.650
0.763 0.060 0.150
0.763 0.440 0.650
0.809 0.067 0.531
0.809 0.433 0.031
0.830 0.703 0.774
0.830 0.797 0.274
0.934 0.046 0.792
0.934 0.454 0.292
0.952 0.189 0.983
0.952 0.311 0.483
0.974 0.188 0.348
0.974 0.312 0.848
```

Number 1: energy of formation -2.90 eV/atom. Number 2: energy of formation -3.07 eV/atom. Number 3: energy of formation -2.96 eV/atom. Number 4: energy of formation -3.00 eV/atom. Number 5: energy of formation -3.14 eV/atom. Number 6: energy of formation -2.28 eV/atom. Number 7: energy of formation -3.14 eV/atom. Number 8: energy of formation -3.06 eV/atom.